Record 1
# Er2Fe3Si5 | the Materials Project | meta-GGA r2SCAN | relaxed
data_Er2Fe3Si5
_space_group_name_H-M_alt 'P 4/m n c'
_space_group_IT_number 128
_space_group_name_Hall '-P 4 2n'
_cell_length_a 10.2705
_cell_length_b 10.2705
_cell_length_c 5.4295
_cell_angle_alpha 90.00
_cell_angle_beta 90.00
_cell_angle_gamma 90.00
loop_
_atom_site_label
_atom_site_type_symbol
_atom_site_fract_x
_atom_site_fract_y
_atom_site_fract_z
Er1 Er 0.0693 0.2371 0.0000
Fe1 Fe 0.0000 0.5000 0.2500
Fe2 Fe 0.1235 0.8545 0.5000
Si1 Si 0.0000 0.0000 0.2681
Si2 Si 0.0216 0.3209 0.5000
Si3 Si 0.1771 0.6771 0.2500
# energy of formation = -5.7 eV/f.u.
# E_tot = -16.062 eV/atom



Record 2
# ErFe2Si2 | the Materials Project | meta-GGA r2SCAN | relaxed
data_ErFe2Si2
_space_group_name_H-M_alt 'I 4/m m m'
_space_group_IT_number 139
_space_group_name_Hall '-I 4 2'
_cell_length_a 3.8609
_cell_length_b 3.8609
_cell_length_c 9.7925
_cell_angle_alpha 90.00
_cell_angle_beta 90.00
_cell_angle_gamma 90.00
loop_
_atom_site_label
_atom_site_type_symbol
_atom_site_fract_x
_atom_site_fract_y
_atom_site_fract_z
Er1 Er 0.0000 0.0000 0.0000
Fe1 Fe 0.0000 0.5000 0.2500
Si1 Si 0.0000 0.0000 0.3727
# energy of formation = -2.6 eV/f.u.
# E_tot = -16.582 eV/atom



Record 3
# Er2FeSi2 | the Materials Project | meta-GGA r2SCAN | relaxed
data_Er2FeSi2
_space_group_name_H-M_alt 'C 1 2/m 1'
_space_group_IT_number 12
_space_group_name_Hall '-C 2y'
_cell_length_a 10.3272
_cell_length_b 4.1040
_cell_length_c 9.8295
_cell_angle_alpha 90.00
_cell_angle_beta 119.25
_cell_angle_gamma 90.00
loop_
_atom_site_label
_atom_site_type_symbol
_atom_site_fract_x
_atom_site_fract_y
_atom_site_fract_z
Er1 Er 0.0007 0.0000 0.3292
Er2 Er 0.1880 0.0000 0.1085
Fe1 Fe 0.2296 0.5000 0.3769
Si1 Si 0.9995 0.5000 0.1268
Si2 Si 0.1546 0.5000 0.5642
# energy of formation = -3.3 eV/f.u.
# E_tot = -20.617 eV/atom